Eu2N | the Materials Project database | PBE-GGA | optimized geometry; total energy after the MP2020 corrections = -10.47 eV per atom; ΔE_f = -82 kJ per mole of atoms
1.0
0.0000 5.3027 5.3027
5.3027 0.0000 5.3027
5.3027 5.3027 0.0000
Eu N
8 4
direct
0.3857 0.8430 0.3857 Eu
0.8430 0.3857 0.3857 Eu
0.8643 0.8643 0.8643 Eu
0.4070 0.8643 0.8643 Eu
0.8643 0.4070 0.8643 Eu
0.8643 0.8643 0.4070 Eu
0.3857 0.3857 0.3857 Eu
0.3857 0.3857 0.8430 Eu
0.1250 0.6250 0.6250 N
0.6250 0.1250 0.6250 N
0.6250 0.6250 0.1250 N
0.6250 0.6250 0.6250 N